! Np2S5, relaxed, DFT PBE-GGA; values from VASP
&SYSTEM
  ibrav = 0, nat = 28, ntyp = 2
/
ATOMIC_SPECIES
Np 237.00 Np.upf
S 32.06 S.upf
ATOMIC_POSITIONS crystal
Np 0.2384 0.0075 0.3507
Np 0.2616 0.0075 0.8507
S 0.6070 0.3578 0.6008
S 0.8930 0.3578 0.1008
S 0.1070 0.1422 0.1008
Np 0.2616 0.5075 0.1493
S 0.8687 0.6189 0.6056
S 0.1070 0.6422 0.8992
S 0.1313 0.3811 0.3944
S 0.3687 0.8811 0.1056
S 0.5000 0.2500 0.2518
Np 0.7616 0.9925 0.6493
Np 0.7616 0.4925 0.3507
S 0.6313 0.1189 0.8944
S 0.6313 0.6189 0.1056
S 0.1313 0.8811 0.6056
S 0.3687 0.3811 0.8944
S 0.3930 0.1422 0.6008
S 0.0000 0.7500 0.2482
S 0.8930 0.8578 0.8992
S 0.5000 0.7500 0.7482
S 0.0000 0.2500 0.7518
Np 0.7384 0.4925 0.8507
S 0.8687 0.1189 0.3944
Np 0.2384 0.5075 0.6493
S 0.3930 0.6422 0.3992
S 0.6070 0.8578 0.3992
Np 0.7384 0.9925 0.1493
CELL_PARAMETERS angstrom
-4.1161 5.9334 -1.2383
-1.3565 -2.3635 -6.8158
-7.9965 -4.8632 3.2779
! formation enthalpy at 0 K: -1.482 eV/atom
! volume: 19.047 Å³ per atom
! raw total energy: -0.2858 Ha/atom
! ρ: 7.900 Mg/m³